The following is a GGA-PBE calculation of a relaxed GdNiB4 crystal, from Materials Project.

As for the energy of formation from the pure elements: 0.30 eV/atom. As for the magnetization: 1.57 μB per cell.

It has space group I4/mmm (No. 139), with a = 7.573 Å, b = 7.573 Å, c = 8.544 Å, α = 90.00°, β = 90.00° and γ = 90.00°. The distinct sites, in fractional coordinates, are Gd at (0.000, 0.000, 0.203), Gd at (0.000, 0.500, 0.250), Ni at (0.000, 0.229, 0.500), B at (0.112, 0.276, 0.000) and B at (0.234, 0.234, 0.348).

***

The following is a GGA-PBE calculation of a relaxed LiHoGe crystal, from Materials Project.

As for the energy of formation from the pure elements: -0.71 eV/atom.

It has space group P-62m (No. 189), with a = 7.0407 Å, b = 7.0407 Å, c = 4.2436 Å, α = 90.00°, β = 90.00° and γ = 120.00°. The distinct sites, in fractional coordinates, are Li at (0.0000, 0.2334, 0.0000), Ho at (0.0000, 0.5764, 0.5000), Ge at (0.0000, 0.0000, 0.5000) and Ge at (0.3333, 0.6667, 0.0000).

***

The following is a GGA-PBE calculation of a relaxed CeNiSn crystal, from Materials Project.

As for the energy of formation from the pure elements: -0.53 eV/atom. As for the magnetization: 0.38 μB per cell.

It has space group C2/m (No. 12), with a = 10.616 Å, b = 4.241 Å, c = 7.258 Å, α = 90.00°, β = 128.73° and γ = 90.00°. The distinct sites, in fractional coordinates, are Ce at (0.061, 0.000, 0.337), Ni at (0.150, 0.500, 0.689) and Sn at (0.171, 0.500, 0.090).

***

The following is a GGA-PBE calculation of a relaxed CuNiSb2 crystal, from Materials Project.

As for the energy of formation from the pure elements: -0.24 eV/atom.

It has space group P-3m1 (No. 164), with a = 4.0972 Å, b = 4.0972 Å, c = 5.1372 Å, α = 90.00°, β = 90.00° and γ = 120.00°. The distinct sites, in fractional coordinates, are Cu at (0.0000, 0.0000, 0.0000), Ni at (0.0000, 0.0000, 0.5000) and Sb at (0.3333, 0.6667, 0.7258).